A plane-wave DFT calculation with PBE+U was carried out for a geometry-optimized MgMn2V2O8 structure.

a = 5.364 Å, b = 5.364 Å, c = 6.540 Å
α = 92.87°, β = 92.87°, γ = 66.35°
Sites, in units of the cell vectors:
1 O 0.232 0.696 0.242
2 O 0.233 0.233 0.500
3 Mn 0.000 0.000 0.000
4 O 0.768 0.304 0.758
5 Mn 0.000 0.000 0.500
6 O 0.769 0.769 0.934
7 O 0.696 0.232 0.242
8 V 0.336 0.336 0.293
9 O 0.767 0.767 0.500
10 O 0.231 0.231 0.066
11 O 0.304 0.768 0.758
12 V 0.664 0.664 0.707
13 Mg 0.500 0.500 0.000

Summary:
Its energy relative to the elements is -28.84 eV per formula unit. The excess energy over the best structure of this formula in the dataset comes out at 0.169 eV per atom. Its volume is 172.1 Å³ per cell. As for the total DFT energy (no corrections): -7.2523 eV/atom.